Material: HfMn6Ge6
Method: DFT, GGA-PBE
State: relaxed

abc: 5.0144 5.0144 8.0792
angles: 90.00 90.00 120.00
With the nearest neighbours (Å) after each atom.
Fractional coordinates of all 13 atoms:
1 Hf 0.0000 0.0000 0.0000  8 Ge 2.77-2.90
2 Mn 0.0000 0.5000 0.7524  6 Ge 2.47-2.62, 4 Mn 2.51
3 Mn 0.0000 0.5000 0.2476  6 Ge 2.47-2.62, 4 Mn 2.51
4 Mn 0.5000 0.5000 0.2476  6 Ge 2.47-2.62, 4 Mn 2.51
5 Mn 0.5000 0.0000 0.2476  6 Ge 2.47-2.62, 4 Mn 2.51
6 Mn 0.5000 0.5000 0.7524  6 Ge 2.47-2.62, 4 Mn 2.51
7 Mn 0.5000 0.0000 0.7524  6 Ge 2.47-2.62, 4 Mn 2.51
8 Ge 0.0000 0.0000 0.6571  1 Ge 2.54, 6 Mn 2.62, 1 Hf 2.77
9 Ge 0.3333 0.6667 0.0000  6 Mn 2.47
10 Ge 0.6667 0.3333 0.5000  6 Mn 2.50
11 Ge 0.3333 0.6667 0.5000  6 Mn 2.50
12 Ge 0.0000 0.0000 0.3429  1 Ge 2.54, 6 Mn 2.62, 1 Hf 2.77
13 Ge 0.6667 0.3333 0.0000  6 Mn 2.47

Properties
Energy   -7.405 eV per atom
Energy of formation   -3.600 eV per formula unit
Theoretical density   8.9 Mg/m³


Material: Hf9GeMo4
Method: DFT, GGA-PBE
State: relaxed

abc: 8.6746 8.6746 8.7114
angles: 90.00 90.00 120.00
With the nearest neighbours (Å) after each atom.
Fractional coordinates of all 28 atoms:
1 Hf 0.5384 0.0768 0.2500  2 Mo 2.92, 1 Ge 3.08, 8 Hf 3.24-3.26
2 Hf 0.4616 0.9232 0.7500  2 Mo 2.92, 1 Ge 3.08, 8 Hf 3.24-3.26
3 Hf 0.9232 0.4616 0.2500  2 Mo 2.92, 1 Ge 3.08, 8 Hf 3.24-3.26
4 Hf 0.0768 0.5384 0.7500  2 Mo 2.92, 1 Ge 3.08, 8 Hf 3.24-3.26
5 Hf 0.5384 0.4616 0.2500  2 Mo 2.92, 1 Ge 3.08, 8 Hf 3.24-3.26
6 Hf 0.4616 0.5384 0.7500  2 Mo 2.92, 1 Ge 3.08, 8 Hf 3.24-3.26
7 Hf 0.1965 0.3930 0.0433  1 Ge 2.73, 2 Mo 2.87-2.98, 2 Hf 3.05
8 Hf 0.8035 0.6070 0.9567  1 Ge 2.73, 2 Mo 2.87-2.98, 2 Hf 3.05
9 Hf 0.6070 0.8035 0.0433  1 Ge 2.73, 2 Mo 2.87-2.98, 2 Hf 3.05
10 Hf 0.8035 0.6070 0.5433  1 Ge 2.73, 2 Mo 2.87-2.98, 2 Hf 3.05
11 Hf 0.3930 0.1965 0.9567  1 Ge 2.73, 2 Mo 2.87-2.98, 2 Hf 3.05
12 Hf 0.1965 0.3930 0.4567  1 Ge 2.73, 2 Mo 2.87-2.98, 2 Hf 3.05
13 Hf 0.1965 0.8035 0.0433  1 Ge 2.73, 2 Mo 2.87-2.98, 2 Hf 3.05
14 Hf 0.3930 0.1965 0.5433  1 Ge 2.73, 2 Mo 2.87-2.98, 2 Hf 3.05
15 Hf 0.8035 0.1965 0.9567  1 Ge 2.73, 2 Mo 2.87-2.98, 2 Hf 3.05
16 Hf 0.6070 0.8035 0.4567  1 Ge 2.73, 2 Mo 2.87-2.98, 2 Hf 3.05
17 Hf 0.8035 0.1965 0.5433  1 Ge 2.73, 2 Mo 2.87-2.98, 2 Hf 3.05
18 Hf 0.1965 0.8035 0.4567  1 Ge 2.73, 2 Mo 2.87-2.98, 2 Hf 3.05
19 Ge 0.3333 0.6667 0.2500  6 Hf 2.73
20 Ge 0.6667 0.3333 0.7500  6 Hf 2.73
21 Mo 0.0000 0.0000 0.0000  6 Mo 2.73, 6 Hf 2.98
22 Mo 0.0000 0.0000 0.5000  6 Mo 2.73, 6 Hf 2.98
23 Mo 0.8900 0.7799 0.2500  4 Mo 2.73-2.86, 4 Hf 2.87-2.92
24 Mo 0.1100 0.2201 0.7500  4 Mo 2.73-2.86, 4 Hf 2.87-2.92
25 Mo 0.2201 0.1100 0.2500  4 Mo 2.73-2.86, 4 Hf 2.87-2.92
26 Mo 0.7799 0.8900 0.7500  4 Mo 2.73-2.86, 4 Hf 2.87-2.92
27 Mo 0.8900 0.1100 0.2500  4 Mo 2.73-2.86, 4 Hf 2.87-2.92
28 Mo 0.1100 0.8900 0.7500  4 Mo 2.73-2.86, 4 Hf 2.87-2.92

Properties
Energy   -10.046 eV per atom
Energy of formation   -3.017 eV per formula unit
Theoretical density   12.1 Mg/m³


Material: HfGeMo
Method: DFT, GGA-PBE
State: relaxed

abc: 3.5667 6.9823 8.3288
angles: 90.00 90.00 90.00
With the nearest neighbours (Å) after each atom.
Fractional coordinates of all 12 atoms:
1 Hf 0.2500 0.5456 0.1673  5 Ge 2.77-2.94, 2 Mo 2.99
2 Hf 0.2500 0.0456 0.3327  5 Ge 2.77-2.94, 2 Mo 2.99
3 Hf 0.7500 0.4544 0.8327  5 Ge 2.77-2.94, 2 Mo 2.99
4 Hf 0.7500 0.9544 0.6673  5 Ge 2.77-2.94, 2 Mo 2.99
5 Ge 0.2500 0.7556 0.8619  4 Mo 2.57-2.72, 4 Hf 2.77-2.78
6 Ge 0.2500 0.2556 0.6381  4 Mo 2.57-2.72, 4 Hf 2.77-2.78
7 Ge 0.7500 0.2444 0.1381  4 Mo 2.57-2.72, 4 Hf 2.77-2.78
8 Ge 0.7500 0.7444 0.3619  4 Mo 2.57-2.72, 4 Hf 2.77-2.78
9 Mo 0.2500 0.6342 0.5633  4 Ge 2.57-2.72, 2 Mo 2.79
10 Mo 0.2500 0.1342 0.9367  4 Ge 2.57-2.72, 2 Mo 2.79
11 Mo 0.7500 0.3658 0.4367  4 Ge 2.57-2.72, 2 Mo 2.79
12 Mo 0.7500 0.8658 0.0633  4 Ge 2.57-2.72, 2 Mo 2.79

Properties
Energy   -9.021 eV per atom
Energy of formation   -1.639 eV per formula unit
Theoretical density   11.1 Mg/m³


Material: Hf3GeMo8
Method: DFT, GGA-PBE
State: relaxed

abc: 5.3571 5.3571 8.6040
angles: 90.00 90.00 120.00
With the nearest neighbours (Å) after each atom.
Fractional coordinates of all 12 atoms:
1 Hf 0.6667 0.3333 0.4415  12 Mo 3.03-3.14, 1 Hf 3.27, 3 Ge 3.27
2 Hf 0.6667 0.3333 0.0617  12 Mo 3.10-3.14, 4 Hf 3.27
3 Hf 0.3333 0.6667 0.9396  12 Mo 3.08-3.15, 1 Ge 3.22, 3 Hf 3.27
4 Ge 0.3333 0.6667 0.5648  12 Mo 3.09-3.15, 4 Hf 3.22-3.27
5 Mo 0.0000 0.0000 0.4983  6 Mo 2.65-2.67
6 Mo 0.0000 0.0000 0.9975  6 Mo 2.68-2.70
7 Mo 0.8287 0.1713 0.7472  6 Mo 2.60-2.75
8 Mo 0.3426 0.1713 0.7472  6 Mo 2.60-2.75
9 Mo 0.8287 0.6574 0.7472  6 Mo 2.60-2.75
10 Mo 0.1706 0.8294 0.2516  6 Mo 2.62-2.74
11 Mo 0.6589 0.8294 0.2516  6 Mo 2.62-2.74
12 Mo 0.1706 0.3411 0.2516  6 Mo 2.62-2.74

Properties
Energy   -10.100 eV per atom
Energy of formation   0.055 eV per formula unit
Theoretical density   10.7 Mg/m³
Magnetic moment   0.0 Bohr magnetons per cell


Material: NaHf2Ge2P5SO24
Method: DFT, GGA-PBE
State: relaxed

abc: 8.6059 8.6120 22.4446
angles: 90.33 89.56 120.20
With the nearest neighbours (Å) after each atom.
Fractional coordinates of all 105 atoms:
1 Na 0.6738 0.3403 0.8289  6 O 2.44-2.56
2 Na 0.6665 0.3339 0.3349  6 O 2.45-2.68
3 Na 0.3340 0.6681 0.1672  6 O 2.52-2.58
4 Hf 0.0012 0.0016 0.3639  6 O 2.03-2.07
5 Hf 0.9988 0.0005 0.1425  6 O 2.02-2.06
6 Hf 0.6678 0.3335 0.1892  6 O 2.02-2.07
7 Hf 0.6737 0.3396 0.9738  6 O 1.96-2.20
8 Hf 0.3363 0.6600 0.0157  6 O 2.01-2.17
9 Hf 0.3309 0.6668 0.3170  6 O 2.04-2.07
10 Ge 0.9934 0.0005 0.8460  6 O 1.84-2.02
11 Ge 0.0092 0.9959 0.6516  5 O 1.85-2.04
12 Ge 0.6621 0.3233 0.6876  6 O 1.87-2.03
13 Ge 0.6550 0.3280 0.4845  6 O 1.84-2.05
14 Ge 0.3310 0.6784 0.5208  4 O 1.81-1.89
15 Ge 0.3322 0.6574 0.8051  6 O 1.86-2.04
16 P 0.2867 0.9984 0.2523  4 O 1.53-1.54
17 P 0.7113 0.7125 0.2533  4 O 1.53-1.54
18 P 0.0002 0.2882 0.2531  4 O 1.53-1.54
19 P 0.2870 0.2833 0.7481  4 O 1.54-1.57
20 P 0.0002 0.7090 0.7487  4 O 1.54-1.57
21 P 0.7126 0.9974 0.7467  4 O 1.54-1.57
22 P 0.3765 0.0447 0.5860  4 O 1.55-1.56
23 P 0.9610 0.6228 0.0816  4 O 1.51-1.54
24 P 0.6629 0.0429 0.0806  4 O 1.52-1.54
25 P 0.3815 0.3366 0.0815  4 O 1.51-1.54
26 P 0.6287 0.6787 0.9054  4 O 1.53-1.55
27 P 0.0517 0.3705 0.9057  4 O 1.53-1.55
28 P 0.6136 0.9620 0.4250  4 O 1.51-1.55
29 P 0.3454 0.3917 0.4268  4 O 1.52-1.56
30 P 0.0332 0.6502 0.4259  4 O 1.52-1.55
31 S 0.9548 0.3313 0.5857  4 O 1.48-1.51
32 S 0.6684 0.6230 0.5866  4 O 1.47-1.50
33 S 0.3202 0.9490 0.9076  4 O 1.47-1.49
34 O 0.1975 0.0154 0.3094  1 P 1.53
35 O 0.8186 0.8042 0.3094  1 P 1.53
36 O 0.9842 0.1817 0.3093  1 P 1.53
37 O 0.2065 0.1571 0.8023  1 P 1.54
38 O 0.9536 0.7909 0.8027  1 P 1.55
39 O 0.8367 0.0467 0.8015  1 P 1.55
40 O 0.7981 0.9588 0.6913  1 P 1.56
41 O 0.1667 0.2032 0.6924  1 P 1.55
42 O 0.0412 0.8285 0.6925  1 P 1.55
43 O 0.7966 0.8159 0.1958  1 P 1.53
44 O 0.0196 0.2035 0.1956  1 P 1.53
45 O 0.1822 0.9799 0.1954  1 P 1.53
46 O 0.8770 0.3749 0.6395  1 S 1.51
47 O 0.5044 0.1278 0.6404  1 P 1.56
48 O 0.6291 0.5032 0.6397  1 S 1.50
49 O 0.8767 0.5099 0.1378  1 P 1.53
50 O 0.6347 0.1265 0.1373  1 P 1.54
51 O 0.4931 0.3645 0.1376  1 P 1.53
52 O 0.4732 0.3225 0.0244  1 P 1.54
53 O 0.8524 0.5319 0.0248  1 P 1.54
54 O 0.6809 0.1526 0.0243  1 P 1.54
55 O 0.4591 0.1718 0.5316  1 P 1.55
56 O 0.7103 0.5459 0.5329  1 S 1.50
57 O 0.8369 0.2933 0.5329  1 S 1.49
58 O 0.5478 0.7069 0.9627  1 P 1.53
59 O 0.1584 0.4548 0.9628  1 P 1.53
60 O 0.2972 0.8473 0.9627  1 S 1.47
61 O 0.5311 0.8406 0.4804  1 P 1.55
62 O 0.3103 0.4780 0.4826  1 P 1.56
63 O 0.1554 0.6914 0.4811  1 P 1.55
64 O 0.1115 0.6111 0.3700  1 P 1.53
65 O 0.4975 0.8834 0.3693  1 P 1.53
66 O 0.3825 0.5051 0.3704  1 P 1.53
67 O 0.1369 0.5004 0.8522  1 P 1.55
68 O 0.3604 0.8692 0.8550  1 S 1.49
69 O 0.5022 0.6411 0.8518  1 P 1.55
70 O 0.0115 0.8128 0.4170  1 P 1.52
71 O 0.7987 0.9851 0.4169  1 P 1.51
72 O 0.1825 0.2056 0.4187  1 P 1.52
73 O 0.0446 0.1897 0.8972  1 P 1.54
74 O 0.1549 0.9590 0.9005  1 S 1.48
75 O 0.8136 0.8497 0.8975  1 P 1.54
76 O 0.9694 0.1689 0.5948  1 S 1.48
77 O 0.1902 0.0279 0.5970  1 P 1.55
78 O 0.8334 0.8023 0.5949  1 S 1.49
79 O 0.9750 0.8045 0.0870  1 P 1.51
80 O 0.8293 0.0262 0.0865  1 P 1.52
81 O 0.1977 0.1701 0.0868  1 P 1.51
82 O 0.6961 0.1696 0.7384  1 P 1.57
83 O 0.4772 0.3028 0.7395  1 P 1.57
84 O 0.8281 0.5194 0.7388  1 P 1.57
85 O 0.6911 0.5249 0.2501  1 P 1.54
86 O 0.8327 0.3081 0.2502  1 P 1.54
87 O 0.4750 0.1659 0.2494  1 P 1.54
88 O 0.6494 0.5114 0.9119  1 P 1.55
89 O 0.8604 0.3433 0.9119  1 P 1.55
90 O 0.4790 0.1330 0.9134  1 S 1.49
91 O 0.6270 0.1475 0.4334  1 P 1.55
92 O 0.5179 0.3778 0.4340  1 P 1.56
93 O 0.8484 0.4780 0.4359  1 P 1.55
94 O 0.3619 0.5043 0.0765  1 P 1.54
95 O 0.1470 0.6430 0.0745  1 P 1.53
96 O 0.4950 0.8569 0.0742  1 P 1.53
97 O 0.3559 0.8568 0.5756  1 P 1.55
98 O 0.5093 0.6422 0.5783  1 S 1.47
99 O 0.1354 0.4927 0.5778  1 S 1.48
100 O 0.3059 0.8304 0.2567  1 P 1.54
101 O 0.5233 0.6921 0.2578  1 P 1.54
102 O 0.1684 0.4762 0.2572  1 P 1.54
103 O 0.3079 0.4699 0.7562  1 P 1.54
104 O 0.1673 0.6916 0.7587  1 P 1.54
105 O 0.5242 0.8337 0.7569  1 P 1.54

Properties
Energy   -7.408 eV per atom
Energy of formation   -95.338 eV per formula unit
Theoretical density   3.8 Mg/m³
MP2020-corrected energy   -7.88 eV/atom
Magnetic moment   0.0 Bohr magnetons per cell


Material: Na7Hf2Si5Ge2PO24
Method: DFT, GGA-PBE
State: relaxed

abc: 8.9361 8.9684 22.0790
angles: 90.00 89.72 120.03
With the nearest neighbours (Å) after each atom.
Fractional coordinates of all 123 atoms:
1 Na 0.6395 0.0007 0.2501  8 O 2.48-2.73
2 Na 0.3612 0.3610 0.2484  6 O 2.46-2.73
3 Na 0.0014 0.6376 0.2504  6 O 2.47-2.73
4 Na 0.6361 0.6367 0.7520  5 O 2.40-2.67
5 Na 0.0001 0.3637 0.7524  6 O 2.43-2.66
6 Na 0.3626 0.0001 0.7529  5 O 2.42-2.62
7 Na 0.3054 0.3335 0.5816  5 O 2.41-2.64
8 Na 0.0306 0.6974 0.5812  6 O 2.45-2.72
9 Na 0.6668 0.9696 0.5816  6 O 2.42-2.65
10 Na 0.2939 0.9634 0.0800  5 O 2.37-2.56
11 Na 0.0418 0.3372 0.0836  6 O 2.35-2.58
12 Na 0.9646 0.6678 0.9187  6 O 2.34-2.61
13 Na 0.3341 0.2932 0.9204  5 O 2.33-2.56
14 Na 0.3303 0.0341 0.4166  3 O 2.29-2.55
15 Na 0.7065 0.6664 0.4182  6 O 2.34-2.60
16 Na 0.9965 0.0061 0.4997  6 O 2.44-2.54
17 Na 0.9839 0.9929 0.0010  6 O 2.46-2.58
18 Na 0.6681 0.3214 0.8366  6 O 2.43-2.59
19 Na 0.6806 0.3312 0.3311  6 O 2.42-2.68
20 Na 0.3441 0.6664 0.1647  6 O 2.44-2.55
21 Na 0.3341 0.6671 0.6672  6 O 2.50-2.57
22 Hf 0.9968 0.0026 0.3528  6 O 2.00-2.15
23 Hf 0.9982 0.0026 0.8575  6 O 1.98-2.15
24 Hf 0.9994 0.0000 0.6497  6 O 2.03-2.11
25 Hf 0.9980 0.9956 0.1456  6 O 2.01-2.15
26 Hf 0.6673 0.3342 0.6845  6 O 2.03-2.10
27 Hf 0.6752 0.3312 0.4765  5 O 1.96-2.07
28 Si 0.3022 0.0021 0.2492  4 O 1.63-1.65
29 Si 0.7000 0.7006 0.2511  4 O 1.63-1.65
30 Si 0.9992 0.2993 0.2476  4 O 1.63-1.65
31 Si 0.2953 0.3028 0.7538  4 O 1.63-1.64
32 Si 0.0052 0.7046 0.7538  4 O 1.62-1.64
33 Si 0.6975 0.9928 0.7527  4 O 1.62-1.64
34 Si 0.9701 0.3396 0.5818  4 O 1.62-1.64
35 Si 0.3716 0.0333 0.5802  4 O 1.62-1.64
36 Si 0.6603 0.6282 0.5798  4 O 1.62-1.64
37 Si 0.9489 0.6140 0.0799  4 O 1.63-1.69
38 Si 0.3919 0.3457 0.0807  4 O 1.65-1.67
39 Si 0.0431 0.3835 0.9197  4 O 1.63-1.66
40 Si 0.3453 0.9532 0.9205  4 O 1.64-1.67
41 Si 0.6117 0.9442 0.4155  4 O 1.64
42 Si 0.0540 0.6663 0.4151  4 O 1.63-1.66
43 Ge 0.6679 0.3414 0.1848  6 O 1.87-2.04
44 Ge 0.6684 0.3253 0.9806  5 O 1.86-1.93
45 Ge 0.3275 0.6578 0.0202  5 O 1.84-1.96
46 Ge 0.3338 0.6704 0.5194  6 O 1.85-1.97
47 Ge 0.3301 0.6686 0.3119  6 O 1.83-1.97
48 Ge 0.3292 0.6707 0.8163  6 O 1.87-1.99
49 P 0.6616 0.0468 0.0821  4 O 1.55-1.56
50 P 0.6099 0.6630 0.9191  4 O 1.54-1.57
51 P 0.3297 0.3873 0.4164  4 O 1.55-1.56
52 O 0.2191 0.0447 0.3082  1 Si 1.63
53 O 0.8249 0.7819 0.3103  1 Si 1.64
54 O 0.9553 0.1665 0.3041  1 Si 1.63
55 O 0.2091 0.1748 0.8117  1 Si 1.63
56 O 0.9674 0.7915 0.8122  1 Si 1.62
57 O 0.8328 0.0341 0.8073  1 Si 1.62
58 O 0.7773 0.9555 0.6913  1 Si 1.64
59 O 0.1740 0.2192 0.6940  1 Si 1.64
60 O 0.0408 0.8255 0.6938  1 Si 1.64
61 O 0.7894 0.8356 0.1952  1 Si 1.63
62 O 0.0419 0.2179 0.1882  1 Si 1.64
63 O 0.1731 0.9614 0.1914  1 Si 1.64
64 O 0.8900 0.3792 0.6424  1 Si 1.64
65 O 0.4931 0.1197 0.6396  1 Si 1.63
66 O 0.6249 0.5079 0.6400  1 Si 1.64
67 O 0.8661 0.4926 0.1409  1 Si 1.65
68 O 0.6283 0.1258 0.1402  1 P 1.56
69 O 0.5016 0.3675 0.1429  1 Si 1.65
70 O 0.4753 0.3006 0.0216  1 Si 1.65
71 O 0.8316 0.5235 0.0201  1 Si 1.63
72 O 0.7010 0.1667 0.0264  1 P 1.55
73 O 0.4563 0.1577 0.5217  1 Si 1.62
74 O 0.6977 0.5403 0.5217  1 Si 1.62
75 O 0.8361 0.2969 0.5265  1 Si 1.62
76 O 0.5241 0.6916 0.9750  1 P 1.54
77 O 0.1679 0.4668 0.9788  1 Si 1.64
78 O 0.3066 0.8272 0.9796  1 Si 1.64
79 O 0.5286 0.8267 0.4767  1 Si 1.64
80 O 0.3076 0.4680 0.4752  1 P 1.55
81 O 0.1704 0.6961 0.4760  1 Si 1.64
82 O 0.1395 0.6401 0.3534  1 Si 1.63
83 O 0.4952 0.8553 0.3551  1 Si 1.64
84 O 0.3579 0.4971 0.3588  1 P 1.55
85 O 0.1294 0.5064 0.8592  1 Si 1.65
86 O 0.3702 0.8687 0.8579  1 Si 1.64
87 O 0.5011 0.6338 0.8606  1 P 1.56
88 O 0.0390 0.8430 0.4134  1 Si 1.66
89 O 0.8030 0.9617 0.4133  1 Si 1.64
90 O 0.1712 0.2032 0.4129  1 P 1.55
91 O 0.0290 0.1949 0.9162  1 Si 1.63
92 O 0.1691 0.9711 0.9173  1 Si 1.66
93 O 0.7951 0.8205 0.9158  1 P 1.55
94 O 0.9904 0.1701 0.5871  1 Si 1.62
95 O 0.1806 0.0123 0.5870  1 Si 1.63
96 O 0.8308 0.8186 0.5864  1 Si 1.63
97 O 0.9785 0.8095 0.0846  1 Si 1.64
98 O 0.8277 0.0339 0.0871  1 P 1.55
99 O 0.1955 0.1728 0.0854  1 Si 1.66
100 O 0.6764 0.1621 0.7467  1 Si 1.63
101 O 0.4854 0.3220 0.7469  1 Si 1.63
102 O 0.8350 0.5149 0.7474  1 Si 1.62
103 O 0.6852 0.5115 0.2422  1 Si 1.65
104 O 0.8253 0.3170 0.2404  1 Si 1.65
105 O 0.4936 0.1747 0.2400  1 Si 1.65
106 O 0.6278 0.4979 0.9217  1 P 1.57
107 O 0.8507 0.3695 0.9240  1 Si 1.66
108 O 0.5139 0.1523 0.9250  1 Si 1.67
109 O 0.6229 0.1319 0.4172  1 Si 1.64
110 O 0.4945 0.3689 0.4188  1 P 1.56
111 O 0.8564 0.5026 0.4164  1 Si 1.64
112 O 0.3665 0.5172 0.0759  1 Si 1.67
113 O 0.1480 0.6357 0.0770  1 Si 1.69
114 O 0.4969 0.8671 0.0764  1 P 1.55
115 O 0.3556 0.8430 0.5758  1 Si 1.64
116 O 0.4845 0.6420 0.5749  1 Si 1.64
117 O 0.1590 0.5120 0.5736  1 Si 1.63
118 O 0.3198 0.8282 0.2547  1 Si 1.65
119 O 0.5064 0.6768 0.2586  1 Si 1.64
120 O 0.1741 0.4893 0.2566  1 Si 1.65
121 O 0.3115 0.4915 0.7621  1 Si 1.63
122 O 0.1807 0.6906 0.7588  1 Si 1.64
123 O 0.5099 0.8173 0.7606  1 Si 1.64

Properties
Energy   -7.098 eV per atom
Energy of formation   -117.798 eV per formula unit
Theoretical density   4.0 Mg/m³
MP2020-corrected energy   -7.50 eV/atom
Magnetic moment   0.0 Bohr magnetons per cell